No. 1
LaMgMnO3 | PBE+U | optimized geometry

formation energy from the elements	-2.03	eV/atom
space-group type	P4/mmm

Cell and atoms, written as CIF:
```
data_LaMgMnO3
_chemical_formula_sum 'La1 Mg1 Mn1 O3'
_space_group_name_H-M_alt 'P 1'
_space_group_IT_number 1
_cell_length_a 3.941
_cell_length_b 3.941
_cell_length_c 6.543
_cell_angle_alpha 90.00
_cell_angle_beta 90.00
_cell_angle_gamma 90.00
loop_
_space_group_symop_operation_xyz
'x,y,z'
loop_
_atom_site_label
_atom_site_fract_x
_atom_site_fract_y
_atom_site_fract_z
La1 0.000 0.000 0.000
Mg1 0.000 0.000 0.500
Mn1 0.500 0.500 0.500
O1 0.000 0.500 0.500
O2 0.500 0.000 0.500
O3 0.500 0.500 0.000
```


No. 2
Co2As2O7 | PBE+U | optimized geometry

formation energy from the elements	-1.57	eV/atom
space-group type	P-1
offset from the most stable computed form	0.0	kJ/mol of atoms

Cell and atoms, written as CIF:
```
data_Co2As2O7
_chemical_formula_sum 'Co10 As10 O35'
_space_group_name_H-M_alt 'P 1'
_space_group_IT_number 1
_cell_length_a 5.408
_cell_length_b 7.805
_cell_length_c 16.293
_cell_angle_alpha 82.95
_cell_angle_beta 88.72
_cell_angle_gamma 85.35
loop_
_space_group_symop_operation_xyz
'x,y,z'
loop_
_atom_site_label
_atom_site_fract_x
_atom_site_fract_y
_atom_site_fract_z
Co1 0.005 0.468 0.338
Co2 0.163 0.093 0.133
Co3 0.226 0.109 0.462
Co4 0.380 0.679 0.937
Co5 0.406 0.758 0.261
Co6 0.594 0.242 0.739
Co7 0.620 0.321 0.063
Co8 0.774 0.891 0.538
Co9 0.837 0.907 0.867
Co10 0.995 0.532 0.662
As1 0.118 0.532 0.130
As2 0.119 0.110 0.672
As3 0.291 0.678 0.474
As4 0.304 0.120 0.924
As5 0.492 0.763 0.724
As6 0.508 0.237 0.276
As7 0.696 0.880 0.076
As8 0.709 0.322 0.526
As9 0.881 0.890 0.328
As10 0.882 0.468 0.870
O1 0.043 0.663 0.540
O2 0.056 0.042 0.578
O3 0.056 0.635 0.883
O4 0.085 0.276 0.876
O5 0.103 0.941 0.254
O6 0.157 0.933 0.924
O7 0.219 0.547 0.228
O8 0.220 0.657 0.373
O9 0.252 0.303 0.676
O10 0.252 0.647 0.716
O11 0.271 0.252 0.348
O12 0.352 0.551 0.057
O13 0.357 0.167 0.021
O14 0.403 0.991 0.705
O15 0.415 0.242 0.175
O16 0.442 0.871 0.141
O17 0.448 0.857 0.478
O18 0.500 0.500 0.500
O19 0.552 0.143 0.522
O20 0.558 0.129 0.859
O21 0.585 0.758 0.825
O22 0.597 0.009 0.295
O23 0.643 0.833 0.979
O24 0.648 0.449 0.943
O25 0.729 0.748 0.652
O26 0.748 0.353 0.284
O27 0.748 0.697 0.324
O28 0.780 0.343 0.627
O29 0.781 0.453 0.772
O30 0.843 0.067 0.076
O31 0.897 0.059 0.746
O32 0.915 0.724 0.124
O33 0.944 0.365 0.117
O34 0.944 0.958 0.422
O35 0.957 0.337 0.460
```


No. 3
La7SmCo6Cu2O20 | PBE+U | optimized geometry

formation energy from the elements	-2.31	eV/atom
space-group type	P1

Cell and atoms, written as CIF:
```
data_La7SmCo6Cu2O20
_chemical_formula_sum 'La28 Sm4 Co24 Cu8 O80'
_space_group_name_H-M_alt 'P 1'
_space_group_IT_number 1
_cell_length_a 10.811
_cell_length_b 11.461
_cell_length_c 17.858
_cell_angle_alpha 71.36
_cell_angle_beta 72.43
_cell_angle_gamma 90.00
loop_
_space_group_symop_operation_xyz
'x,y,z'
loop_
_atom_site_label
_atom_site_fract_x
_atom_site_fract_y
_atom_site_fract_z
La1 0.000 0.000 0.000
La2 0.000 0.499 0.999
La3 0.003 0.501 0.500
La4 0.004 0.998 0.502
La5 0.139 0.138 0.222
La6 0.140 0.637 0.222
La7 0.143 0.139 0.723
La8 0.251 0.729 0.999
La9 0.252 0.231 0.998
La10 0.253 0.729 0.501
La11 0.255 0.227 0.500
La12 0.390 0.868 0.222
La13 0.392 0.866 0.722
La14 0.393 0.367 0.222
La15 0.500 0.999 0.000
La16 0.502 0.501 0.501
La17 0.504 0.500 0.000
La18 0.637 0.139 0.723
La19 0.638 0.137 0.224
La20 0.639 0.637 0.222
La21 0.643 0.638 0.723
La22 0.748 0.227 0.501
La23 0.750 0.229 0.000
La24 0.751 0.729 0.998
La25 0.752 0.729 0.500
La26 0.889 0.368 0.222
La27 0.889 0.868 0.222
La28 0.895 0.368 0.722
Sm1 0.144 0.642 0.721
Sm2 0.394 0.366 0.720
Sm3 0.503 0.000 0.503
Sm4 0.897 0.864 0.720
Co1 0.087 0.837 0.862
Co2 0.088 0.337 0.362
Co3 0.090 0.841 0.360
Co4 0.092 0.341 0.861
Co5 0.192 0.434 0.111
Co6 0.192 0.934 0.111
Co7 0.337 0.527 0.861
Co8 0.338 0.028 0.863
Co9 0.340 0.529 0.360
Co10 0.342 0.029 0.360
Co11 0.442 0.184 0.111
Co12 0.442 0.683 0.111
Co13 0.587 0.338 0.863
Co14 0.588 0.338 0.363
Co15 0.589 0.840 0.361
Co16 0.591 0.838 0.862
Co17 0.692 0.933 0.111
Co18 0.838 0.029 0.360
Co19 0.840 0.028 0.859
Co20 0.840 0.529 0.359
Co21 0.843 0.530 0.859
Co22 0.941 0.182 0.613
Co23 0.942 0.184 0.111
Co24 0.942 0.683 0.111
Cu1 0.194 0.434 0.613
Cu2 0.194 0.933 0.612
Cu3 0.443 0.184 0.612
Cu4 0.443 0.683 0.613
Cu5 0.693 0.433 0.612
Cu6 0.693 0.434 0.111
Cu7 0.694 0.933 0.612
Cu8 0.944 0.683 0.613
O1 0.000 0.218 0.972
O2 0.026 0.005 0.362
O3 0.027 0.004 0.862
O4 0.028 0.503 0.361
O5 0.034 0.509 0.856
O6 0.061 0.048 0.628
O7 0.061 0.052 0.127
O8 0.061 0.552 0.127
O9 0.065 0.555 0.628
O10 0.076 0.811 0.602
O11 0.077 0.315 0.095
O12 0.077 0.815 0.095
O13 0.079 0.314 0.597
O14 0.091 0.814 0.759
O15 0.096 0.314 0.759
O16 0.107 0.324 0.252
O17 0.109 0.825 0.250
O18 0.243 0.049 0.464
O19 0.247 0.541 0.971
O20 0.247 0.551 0.464
O21 0.249 0.042 0.972
O22 0.276 0.864 0.861
O23 0.277 0.362 0.361
O24 0.278 0.863 0.361
O25 0.283 0.362 0.857
O26 0.310 0.048 0.127
O27 0.311 0.546 0.630
O28 0.311 0.549 0.127
O29 0.317 0.049 0.621
O30 0.326 0.819 0.096
O31 0.327 0.318 0.095
O32 0.327 0.319 0.602
O33 0.328 0.821 0.597
O34 0.340 0.652 0.758
O35 0.352 0.153 0.757
O36 0.360 0.652 0.250
O37 0.361 0.151 0.251
O38 0.496 0.715 0.466
O39 0.497 0.212 0.468
O40 0.499 0.215 0.973
O41 0.500 0.716 0.972
O42 0.526 0.505 0.862
O43 0.527 0.003 0.367
O44 0.528 0.004 0.862
O45 0.528 0.504 0.361
O46 0.561 0.053 0.127
O47 0.561 0.549 0.627
O48 0.563 0.554 0.125
O49 0.565 0.054 0.622
O50 0.574 0.313 0.601
O51 0.577 0.313 0.097
O52 0.577 0.814 0.095
O53 0.577 0.817 0.596
O54 0.590 0.317 0.759
O55 0.595 0.815 0.759
O56 0.600 0.317 0.258
O57 0.609 0.826 0.251
O58 0.739 0.049 0.464
O59 0.746 0.551 0.464
O60 0.750 0.042 0.970
O61 0.750 0.549 0.964
O62 0.777 0.362 0.861
O63 0.778 0.363 0.361
O64 0.778 0.862 0.360
O65 0.783 0.864 0.856
O66 0.812 0.043 0.629
O67 0.812 0.049 0.126
O68 0.812 0.549 0.125
O69 0.814 0.550 0.623
O70 0.825 0.318 0.597
O71 0.826 0.318 0.097
O72 0.827 0.818 0.095
O73 0.827 0.818 0.600
O74 0.851 0.654 0.755
O75 0.857 0.153 0.750
O76 0.860 0.153 0.250
O77 0.860 0.652 0.250
O78 0.995 0.214 0.473
O79 0.997 0.717 0.466
O80 0.999 0.713 0.972
```


No. 4
KV2CrO7 | PBE+U | optimized geometry

formation energy from the elements	-2.37	eV/atom
space-group type	P2/c

Cell and atoms, written as CIF:
```
data_KV2CrO7
_chemical_formula_sum 'K2 V4 Cr2 O14'
_space_group_name_H-M_alt 'P 1'
_space_group_IT_number 1
_cell_length_a 8.369
_cell_length_b 4.934
_cell_length_c 6.979
_cell_angle_alpha 90.00
_cell_angle_beta 101.72
_cell_angle_gamma 90.00
loop_
_space_group_symop_operation_xyz
'x,y,z'
loop_
_atom_site_label
_atom_site_fract_x
_atom_site_fract_y
_atom_site_fract_z
K1 0.000 0.102 0.250
K2 0.000 0.898 0.750
V1 0.327 0.497 0.123
V2 0.327 0.503 0.623
V3 0.673 0.497 0.377
V4 0.673 0.503 0.877
Cr1 0.500 0.000 0.000
Cr2 0.500 0.000 0.500
O1 0.146 0.371 0.617
O2 0.146 0.629 0.117
O3 0.290 0.178 0.019
O4 0.290 0.822 0.519
O5 0.385 0.341 0.387
O6 0.385 0.659 0.887
O7 0.500 0.216 0.750
O8 0.500 0.784 0.250
O9 0.615 0.341 0.113
O10 0.615 0.659 0.613
O11 0.710 0.178 0.481
O12 0.710 0.822 0.981
O13 0.854 0.371 0.883
O14 0.854 0.629 0.383
```


Which formula does entry 3 have?
La7SmCo6Cu2O20


Among the records above, which one has the highest formation energy from the elements?
Co2As2O7